[1]
Entry from the Materials Project database: a relaxed NiPd crystal (meta-GGA r2SCAN).

Structure (extended XYZ):
```
6
Lattice="2.683 0.000 0.000 -1.341 2.323 0.000 0.000 0.000 12.676" Properties=species:S:1:pos:R:3 pbc="T T T"
Ni 0.000 0.000 0.000
Ni 0.000 1.549 8.451
Ni 1.341 0.774 4.225
Pd 0.000 0.000 6.338
Pd 0.000 1.549 2.113
Pd 1.341 0.774 10.563
```

Properties
Formation enthalpy at 0 K ... 0.043 eV/atom
SG ... No. 166


[2]
Entry from the Materials Project database: a relaxed Sc2NiPd crystal (meta-GGA r2SCAN).

Structure (extended XYZ):
```
16
Lattice="6.463 0.000 0.000 0.000 6.463 0.000 0.000 0.000 6.463" Properties=species:S:1:pos:R:3 pbc="T T T"
Sc 1.616 1.616 1.616
Sc 1.616 1.616 4.847
Sc 1.616 4.847 1.616
Sc 1.616 4.847 4.847
Sc 4.847 1.616 1.616
Sc 4.847 1.616 4.847
Sc 4.847 4.847 1.616
Sc 4.847 4.847 4.847
Ni 0.000 0.000 0.000
Ni 0.000 3.232 3.232
Ni 3.232 0.000 3.232
Ni 3.232 3.232 0.000
Pd 0.000 0.000 3.232
Pd 0.000 3.232 0.000
Pd 3.232 0.000 0.000
Pd 3.232 3.232 3.232
```

Properties
Formation enthalpy at 0 K ... -0.663 eV/atom
SG ... No. 225


[3]
Entry from the Materials Project database: a relaxed Si2NiPd crystal (meta-GGA r2SCAN).

Structure (extended XYZ):
```
8
Lattice="3.373 0.000 0.000 0.000 5.879 0.000 0.000 0.000 5.380" Properties=species:S:1:pos:R:3 pbc="T T T"
Si 0.000 0.887 0.000
Si 0.000 4.992 2.690
Si 1.687 1.793 3.469
Si 1.687 4.086 0.779
Ni 1.687 0.323 1.689
Ni 1.687 5.556 4.379
Pd 0.000 2.551 1.733
Pd 0.000 3.328 4.423
```

Properties
Formation enthalpy at 0 K ... -0.475 eV/atom
SG ... No. 26


[4]
Entry from the Materials Project database: a relaxed SiNiPd crystal (meta-GGA r2SCAN).

Structure (extended XYZ):
```
9
Lattice="6.104 0.000 0.000 -3.052 5.286 0.000 0.000 0.000 3.474" Properties=species:S:1:pos:R:3 pbc="T T T"
Si 0.000 0.000 0.000
Si 0.000 3.524 1.737
Si 3.052 1.762 1.737
Ni -0.773 1.339 1.737
Ni 1.547 0.000 1.737
Ni 2.279 3.947 1.737
Pd -1.831 3.171 0.000
Pd 1.221 2.115 0.000
Pd 3.662 0.000 0.000
```

Properties
Formation enthalpy at 0 K ... -0.603 eV/atom
SG ... No. 189


[5]
Entry from the Materials Project database: a relaxed Pm2NiPt crystal (meta-GGA r2SCAN).

Structure (extended XYZ):
```
16
Lattice="7.030 0.000 0.000 0.000 7.030 0.000 0.000 0.000 7.030" Properties=species:S:1:pos:R:3 pbc="T T T"
Pm 1.757 1.757 1.757
Pm 1.757 1.757 5.272
Pm 1.757 5.272 1.757
Pm 1.757 5.272 5.272
Pm 5.272 1.757 1.757
Pm 5.272 1.757 5.272
Pm 5.272 5.272 1.757
Pm 5.272 5.272 5.272
Ni 0.000 0.000 0.000
Ni 0.000 3.515 3.515
Ni 3.515 0.000 3.515
Ni 3.515 3.515 0.000
Pt 0.000 0.000 3.515
Pt 0.000 3.515 0.000
Pt 3.515 0.000 0.000
Pt 3.515 3.515 3.515
```

Properties
Formation enthalpy at 0 K ... -0.700 eV/atom
SG ... No. 225


[6]
Entry from the Materials Project database: a relaxed Pm2NiRu crystal (meta-GGA r2SCAN).

Structure (extended XYZ):
```
16
Lattice="6.926 0.000 0.000 0.000 6.926 0.000 0.000 0.000 6.926" Properties=species:S:1:pos:R:3 pbc="T T T"
Pm 1.732 1.732 1.732
Pm 1.732 1.732 5.195
Pm 1.732 5.195 1.732
Pm 1.732 5.195 5.195
Pm 5.195 1.732 1.732
Pm 5.195 1.732 5.195
Pm 5.195 5.195 1.732
Pm 5.195 5.195 5.195
Ni 0.000 0.000 0.000
Ni 0.000 3.463 3.463
Ni 3.463 0.000 3.463
Ni 3.463 3.463 0.000
Ru 0.000 0.000 3.463
Ru 0.000 3.463 0.000
Ru 3.463 0.000 0.000
Ru 3.463 3.463 3.463
```

Properties
Formation enthalpy at 0 K ... -0.211 eV/atom
SG ... No. 225